Entry 1:
62
Lattice="8.6448 0.0000 0.0000 -1.1061 9.4034 0.0000 -0.3158 -1.4033 9.7028" Properties=species:S:1:pos:R:3 comment="K3GdH6C6O15 | Materials Project | PBE-GGA | relaxed" e_tot_ev_per_atom=-6.90 ef_ev_per_atom=-1.834 pbc="T T T"
K -0.0419 2.4571 3.7643
K 2.2960 1.1874 1.0958
K 2.0503 6.9939 2.9152
K 5.1725 1.0062 6.7876
K 4.9269 6.8127 8.6070
K 7.2647 5.5429 5.9386
Gd 1.3071 2.2969 7.5988
Gd 5.9157 5.7032 2.1041
H -0.0131 6.7359 9.2919
H 1.9440 0.3549 5.1725
H 1.2162 5.8231 9.5376
H 2.7105 1.6827 4.9110
H 1.9945 8.2919 7.6419
H 2.4892 7.2929 6.5513
H 4.7336 0.7072 3.1515
H 5.2284 -0.2918 2.0609
H 4.5124 6.3173 4.7919
H 6.0066 2.1769 0.1653
H 5.2789 7.6451 4.5304
H 7.2360 1.2641 0.4110
C -0.2397 4.2479 0.5463
C -0.8036 8.1499 3.1305
C 0.3046 -0.8166 7.6441
C 1.9137 4.9237 5.8612
C 3.4577 5.4156 0.0153
C 3.3564 4.5140 6.3143
C 3.8665 3.4860 3.3886
C 3.7652 2.5845 9.6875
C 5.3092 3.0764 3.8416
C 6.9182 8.8166 2.0587
C 8.0265 -0.1498 6.5724
C 7.4625 3.7522 9.1565
O -0.9547 6.8856 3.2811
O -0.6863 3.6599 7.9880
O -1.0285 7.3945 7.9740
O 0.7083 3.4920 0.1986
O 1.1347 -0.5205 3.7195
O 1.2330 -0.0716 8.1103
O 1.0458 3.9777 5.8743
O 0.9816 7.9098 0.2798
O 1.6765 6.1100 5.5250
O 2.3765 1.0968 5.6504
O 2.0907 4.2033 9.0435
O 2.9250 2.6503 3.5131
O 3.1732 1.7018 8.9915
O 2.8107 7.9394 7.2354
O 3.4584 3.3392 6.7808
O 3.7645 4.6608 2.9221
O 4.4122 0.0607 2.4674
O 4.0496 6.2983 0.7113
O 4.2978 5.3498 6.1897
O 5.1321 3.7967 0.6594
O 4.8463 6.9032 4.0525
O 5.5463 1.8900 4.1778
O 6.2412 0.0902 9.4230
O 6.1771 4.0223 3.8286
O 5.9898 8.0716 1.5925
O 6.0882 8.5205 5.9834
O 6.5145 4.5080 9.5042
O 8.2513 0.6055 1.7289
O 7.9092 4.3401 1.7149
O 8.1775 1.1145 6.4218


Entry 2:
68
Lattice="5.4764 -6.0993 0.0000 5.4764 6.0993 0.0000 0.0000 0.0000 15.5045" Properties=species:S:1:pos:R:3 comment="Si3Sb5N9 | Materials Project | PBE-GGA | relaxed" e_tot_ev_per_atom=-6.56 ef_ev_per_atom=-0.165 pbc="T T T"
Si 2.7382 0.4742 3.8761
Si 5.4764 3.5264 11.9246
Si 5.4764 3.5267 15.1282
Si 2.7382 -0.4742 11.6284
Si 5.4764 2.5729 4.1723
Si 5.4764 2.5726 7.3760
Si 5.4764 -2.5726 8.1285
Si 5.4764 -2.5729 11.3322
Si 8.2145 0.4742 3.8761
Si 5.4764 -3.5267 0.3763
Si 5.4764 -3.5264 3.5799
Si 8.2145 -0.4742 11.6284
Sb 5.4764 6.0712 2.4137
Sb 3.5003 3.5935 1.9668
Sb 5.4764 5.5047 9.6793
Sb 3.5003 2.5058 9.7190
Sb 2.6473 0.0000 0.0000
Sb 2.8291 0.0000 7.7522
Sb 7.4524 3.5935 1.9668
Sb 5.4764 0.5946 1.9271
Sb 7.4524 2.5058 9.7190
Sb 5.4764 0.0281 10.1659
Sb 5.4764 -0.0281 5.3386
Sb 3.5003 -2.5058 5.7855
Sb 5.4764 -0.5946 13.5774
Sb 3.5003 -3.5935 13.5377
Sb 8.1237 0.0000 7.7522
Sb 8.3054 0.0000 0.0000
Sb 7.4524 -2.5058 5.7855
Sb 5.4764 -5.5047 5.8252
Sb 7.4524 -3.5935 13.5377
Sb 5.4764 -6.0712 13.0908
N 1.2528 1.3897 4.1727
N 9.6999 -1.3897 11.3318
N 4.0489 4.4402 0.1479
N 5.4764 3.9734 3.0670
N 2.3638 0.4115 13.0994
N 5.4764 3.7970 8.6161
N 1.2528 -1.3897 11.3318
N 4.0489 1.6591 7.9002
N 5.4764 3.1338 13.5117
N 2.3638 -0.4115 2.4051
N 3.1126 0.4115 10.1574
N 5.4764 2.9655 5.7594
N 6.9038 4.4402 0.1479
N 4.2235 1.3897 3.5796
N 5.4764 2.3023 0.8638
N 3.1126 -0.4115 5.3471
N 5.4764 2.1259 10.8192
N 6.9038 1.6591 7.9002
N 4.2235 -1.3897 11.9249
N 6.7292 1.3897 3.5796
N 4.0489 -1.6591 7.6043
N 5.4764 -2.1259 4.6853
N 7.8401 0.4115 10.1574
N 5.4764 -2.3023 14.6407
N 6.7292 -1.3897 11.9249
N 4.0489 -4.4402 15.3565
N 5.4764 -2.9655 9.7451
N 7.8401 -0.4115 5.3471
N 8.5889 0.4115 13.0994
N 5.4764 -3.1338 1.9928
N 6.9038 -1.6591 7.6043
N 9.6999 1.3897 4.1727
N 5.4764 -3.7970 6.8884
N 8.5889 -0.4115 2.4051
N 5.4764 -3.9734 12.4375
N 6.9038 -4.4402 15.3565


Entry 3:
16
Lattice="4.3166 2.4922 3.5338 -4.3166 2.4922 3.5338 0.0000 -4.9844 3.5338" Properties=species:S:1:pos:R:3 comment="Ag3PO4 | Materials Project | PBE-GGA | relaxed" e_above_lowest_polymorph_mev_per_atom=0 e_tot_ev_per_atom=-5.28 e_ij_max_c_m2=1.22 ef_ev_per_atom=-1.414 pbc="T T T"
Ag -0.9054 -1.9761 3.5338
Ag -3.0580 -0.7200 5.3007
Ag -1.2587 1.7722 3.5338
Ag 2.1525 -2.2883 5.3007
Ag 2.1641 0.2040 3.5338
Ag 0.9054 3.0083 5.3007
P 0.0000 0.0000 1.0184
P 0.0000 0.0000 6.3191
O 0.0000 0.0000 2.5962
O -3.0277 -1.7626 7.5757
O -1.2890 0.7296 5.8088
O 0.0126 -1.4811 5.8088
O 0.0000 0.0000 7.8969
O 1.2763 0.7515 5.8088
O -0.0126 3.5034 7.5757
O 3.0403 -1.7407 7.5757


Entry 4:
10
Lattice="0.0000 6.1454 6.1454 6.1454 0.0000 6.1454 6.1454 6.1454 0.0000" Properties=species:S:1:pos:R:3 comment="Cs2ScHgI6 | Materials Project | PBE-GGA | relaxed" e_tot_ev_per_atom=-2.87 ef_ev_per_atom=-1.342 pbc="T T T"
Cs 3.0727 3.0727 3.0727
Cs 9.2181 9.2181 9.2181
Sc 0.0000 0.0000 0.0000
Hg 6.1454 6.1454 6.1454
I 6.1454 6.1454 2.9084
I 6.1454 2.9084 6.1454
I 9.3825 6.1454 6.1454
I 2.9084 6.1454 6.1454
I 6.1454 9.3825 6.1454
I 6.1454 6.1454 9.3825


Entry 5:
4
Lattice="4.0535 0.0000 0.0000 -2.0268 3.5105 0.0000 0.0000 0.0000 6.6624" Properties=species:S:1:pos:R:3 comment="ZnSe | Materials Project | PBE-GGA | relaxed" e_tot_ev_per_atom=-3.09 e_ij_max_c_m2=0.07 ef_ev_per_atom=-0.946 pbc="T T T"
Zn 0.0000 2.3403 0.0000
Zn 2.0268 1.1702 3.3312
Se 0.0000 2.3403 4.1718
Se 2.0268 1.1702 0.8406


Entry 6:
17
Lattice="3.6178 0.0000 0.0000 0.0000 3.6178 0.0000 0.0000 0.0000 18.4140" Properties=species:S:1:pos:R:3 comment="Ni11Ge2Se4 | Materials Project | PBE-GGA | relaxed" e_tot_ev_per_atom=-5.39 ef_ev_per_atom=-0.395 pbc="T T T"
Ni 0.0000 0.0000 0.0000
Ni 0.0000 0.0000 5.5417
Ni 0.0000 1.8089 1.7757
Ni 0.0000 1.8089 7.4754
Ni 0.0000 1.8089 10.9875
Ni 0.0000 1.8089 16.6455
Ni 1.8089 0.0000 1.7757
Ni 1.8089 0.0000 7.4754
Ni 1.8089 0.0000 10.9875
Ni 1.8089 0.0000 16.6455
Ni 1.8089 1.8089 9.2291
Ge 0.0000 0.0000 9.2134
Ge 1.8089 1.8089 18.4119
Se 0.0000 0.0000 3.2528
Se 0.0000 0.0000 15.1619
Se 1.8089 1.8089 5.8484
Se 1.8089 1.8089 12.4712